[1]
13
Lattice="7.7935 -1.9480 0.0000 7.7935 1.9480 0.0000 -2.5568 0.0000 6.2157" Properties=species:S:1:pos:R:3 comment="Nd2Ta2O9 (GGA-PBE, relaxed)" formation_enthalpy_0k_ev_per_atom=-3.26 volume_a3_per_fu=188.7 space_group="C2/m, No. 12" pbc="T T T"
Nd 2.5655 0.0000 1.1531
Nd 10.4648 0.0000 5.0626
Ta 6.6893 0.0000 1.2042
Ta 6.3410 0.0000 5.0115
O -1.4006 0.0000 5.2367
O 1.9803 0.0000 3.4843
O 4.8437 0.0000 0.4959
O 4.3786 0.0000 5.2294
O 6.5151 0.0000 3.1079
O 8.6517 0.0000 0.9863
O 8.1866 0.0000 5.7198
O 11.0500 0.0000 2.7314
O 14.4309 0.0000 0.9790

---

[2]
22
Lattice="5.5039 -3.7880 0.0000 5.5039 3.7880 0.0000 0.0000 0.0000 7.7301" Properties=species:S:1:pos:R:3 comment="Nd3TaO7 (GGA-PBE, relaxed)" de_polymorph_mev_per_atom=5.1 formation_enthalpy_0k_ev_per_atom=-3.74 volume_a3_per_fu=161.2 space_group="Cmcm, No. 63" pbc="T T T"
Nd 0.0000 0.0000 0.0000
Nd 0.0000 0.0000 3.8651
Nd 2.9985 1.5687 5.7976
Nd 2.9985 -1.5687 1.9325
Nd 8.0093 1.5687 5.7976
Nd 8.0093 -1.5687 1.9325
Ta 5.5039 0.0000 0.0000
Ta 5.5039 0.0000 3.8651
O 1.4457 0.1664 1.9325
O 1.4457 -0.1664 5.7976
O 4.1138 1.4210 0.2584
O 4.1138 1.4210 3.6067
O 5.5039 0.5047 5.7976
O 6.8940 1.4210 0.2584
O 6.8940 1.4210 3.6067
O 4.1138 -1.4210 4.1235
O 4.1138 -1.4210 7.4718
O 5.5039 -0.5047 1.9325
O 6.8940 -1.4210 4.1235
O 6.8940 -1.4210 7.4718
O 9.5622 0.1664 1.9325
O 9.5622 -0.1664 5.7976

---

[3]
22
Lattice="3.8489 -5.4616 0.0000 3.8489 5.4616 0.0000 0.0000 0.0000 7.7436" Properties=species:S:1:pos:R:3 comment="Nd3TaO7 (GGA-PBE, relaxed)" de_polymorph_mev_per_atom=0.0 formation_enthalpy_0k_ev_per_atom=-3.75 volume_a3_per_fu=162.8 space_group="Cmcm, No. 63" pbc="T T T"
Nd 0.0000 0.0000 0.0000
Nd 0.0000 0.0000 3.8718
Nd 2.0574 2.5341 5.8077
Nd 2.0574 -2.5341 1.9359
Nd 5.6405 2.5341 5.8077
Nd 5.6405 -2.5341 1.9359
Ta 3.8489 0.0000 0.0000
Ta 3.8489 0.0000 3.8718
O 3.8489 4.0479 1.9359
O 3.8489 3.9858 5.8077
O 2.3763 1.3361 0.2281
O 2.3763 1.3361 3.6437
O 2.3763 -1.3361 4.0999
O 2.3763 -1.3361 7.5155
O 3.8489 0.6239 5.8077
O 3.8489 -0.6239 1.9359
O 5.3215 1.3361 0.2281
O 5.3215 1.3361 3.6437
O 5.3215 -1.3361 4.0999
O 5.3215 -1.3361 7.5155
O 3.8489 -3.9858 1.9359
O 3.8489 -4.0479 5.8077

---

[4]
12
Lattice="3.6120 -5.7037 0.0000 3.6120 5.7037 0.0000 -3.3356 0.0000 3.9567" Properties=species:S:1:pos:R:3 comment="NdTaO4 (GGA-PBE, relaxed)" formation_enthalpy_0k_ev_per_atom=-3.67 volume_a3_per_fu=81.5 space_group="C2/c, No. 15" pbc="T T T"
Nd 1.1103 4.2035 2.9675
Nd 2.7781 -4.2035 0.9892
Ta 2.7781 1.1368 0.9892
Ta 1.1103 -1.1368 2.9675
O 1.3886 2.3459 1.3490
O -0.7729 0.3637 3.1647
O 0.8950 -0.3637 1.1863
O 4.1676 2.3459 0.6294
O -0.2792 -2.3459 3.3273
O 2.9934 0.3637 2.7704
O 4.6612 -0.3637 0.7920
O 2.4998 -2.3459 2.6077

---

[5]
24
Lattice="7.7087 0.0000 0.0000 0.0000 5.5176 0.0000 -1.3443 0.0000 7.6544" Properties=species:S:1:pos:R:3 comment="NdTaO4 (GGA-PBE, relaxed)" formation_enthalpy_0k_ev_per_atom=-3.66 volume_a3_per_fu=81.4 space_group="P2_1/c, No. 14" pbc="T T T"
Nd 0.6273 1.2182 3.0388
Nd -0.0448 1.5406 6.8660
Nd 6.4092 3.9769 0.7884
Nd 5.7370 4.2994 4.6156
Ta 2.3238 4.0405 1.4737
Ta 1.6516 4.2358 5.3009
Ta 4.7128 1.2818 2.3535
Ta 4.0406 1.4770 6.1807
O 0.6668 2.8429 1.3071
O -0.0053 5.4334 5.1343
O 0.4746 2.7903 4.8104
O 1.1467 5.4860 0.9832
O 1.2900 3.5784 7.2211
O 1.9621 4.6980 3.3939
O 2.3330 0.4998 6.1090
O 3.0051 2.2590 2.2818
O 3.3593 3.2586 5.3725
O 4.0314 5.0178 1.5453
O 4.4022 0.8196 4.2604
O 5.0744 1.9392 0.4332
O 5.2177 0.0315 6.6712
O 5.8898 2.7273 2.8440
O 6.3697 0.0842 2.5200
O 5.6976 2.6746 6.3472

---

[6]
54
Lattice="6.4631 0.0000 0.0000 -3.2316 5.5972 0.0000 0.0000 0.0000 20.5777" Properties=species:S:1:pos:R:3 comment="Nd2Ta6O19 (GGA-PBE, relaxed)" formation_enthalpy_0k_ev_per_atom=-3.29 volume_a3_per_fu=372.2 space_group="P6_3/mcm, No. 193" pbc="T T T"
Nd 0.0000 3.7315 0.0000
Nd 0.0000 3.7315 10.2889
Nd 3.2316 1.8657 0.0000
Nd 3.2316 1.8657 10.2889
Ta -1.1158 1.9327 3.2247
Ta -1.1158 1.9327 7.0642
Ta -2.1157 3.6646 13.5136
Ta -2.1157 3.6646 17.3530
Ta 2.2316 0.0000 3.2247
Ta 2.2316 0.0000 7.0642
Ta 1.1158 1.9327 13.5136
Ta 1.1158 1.9327 17.3530
Ta 4.2315 0.0000 13.5136
Ta 4.2315 0.0000 17.3530
Ta 2.1157 3.6646 3.2247
Ta 2.1157 3.6646 7.0642
O -0.7503 1.2995 13.5159
O -0.7503 1.2995 17.3507
O -1.2995 2.2509 5.1444
O -1.3066 2.2631 1.3209
O -1.3066 2.2631 8.9680
O -1.9250 3.3341 11.6098
O -1.9250 3.3341 19.2568
O -1.9320 3.3464 15.4333
O -2.4813 4.2977 3.2270
O -2.4813 4.2977 7.0618
O 1.5006 0.0000 13.5159
O 1.5006 0.0000 17.3507
O 0.7503 1.2995 3.2270
O 0.7503 1.2995 7.0618
O 0.0000 3.7315 3.2283
O 0.0000 3.7315 7.0606
O 0.0000 3.7315 13.5172
O 0.0000 3.7315 17.3494
O 2.5991 0.0000 5.1444
O 1.2995 2.2509 15.4333
O 2.6132 0.0000 1.3209
O 2.6132 0.0000 8.9680
O 1.3066 2.2631 11.6098
O 1.3066 2.2631 19.2568
O 3.8499 0.0000 11.6098
O 3.8499 0.0000 19.2568
O 1.9250 3.3341 1.3209
O 1.9250 3.3341 8.9680
O 3.8640 0.0000 15.4333
O 1.9320 3.3464 5.1444
O 3.2316 1.8657 3.2283
O 3.2316 1.8657 7.0606
O 3.2316 1.8657 13.5172
O 3.2316 1.8657 17.3494
O 4.9625 0.0000 3.2270
O 4.9625 0.0000 7.0618
O 2.4813 4.2977 13.5159
O 2.4813 4.2977 17.3507